DFT (PBE) results for an optimized crystal structure of Sc6Ga16Ir7.

Summary:
Space-group type: Fm-3m
Crystal system: cubic
Formation enthalpy at 0 K, kJ/mol of atoms: -61.99

Lattice parameters (Å, degrees): 8.8391 8.8391 8.8391 60.00 60.00 60.00
Fractional positions:
Sc 0.7123 0.7123 0.2877
Sc 0.2877 0.7123 0.2877
Sc 0.7123 0.2877 0.2877
Sc 0.2877 0.2877 0.7123
Sc 0.7123 0.2877 0.7123
Sc 0.2877 0.7123 0.7123
Ga 0.8779 0.8779 0.3663
Ga 0.8779 0.3663 0.8779
Ga 0.3663 0.8779 0.8779
Ga 0.8779 0.8779 0.8779
Ga 0.1221 0.1221 0.6337
Ga 0.1221 0.6337 0.1221
Ga 0.6337 0.1221 0.1221
Ga 0.1221 0.1221 0.1221
Ga 0.6578 0.6578 0.0267
Ga 0.6578 0.0267 0.6578
Ga 0.0267 0.6578 0.6578
Ga 0.6578 0.6578 0.6578
Ga 0.3422 0.3422 0.9733
Ga 0.3422 0.9733 0.3422
Ga 0.9733 0.3422 0.3422
Ga 0.3422 0.3422 0.3422
Ir 0.0000 0.0000 0.0000
Ir 0.0000 0.0000 0.5000
Ir 0.5000 0.0000 0.5000
Ir 0.0000 0.5000 0.5000
Ir 0.5000 0.5000 0.0000
Ir 0.0000 0.5000 0.0000
Ir 0.5000 0.0000 0.0000